Entry 1:
# PBE-GGA LiNi9S10, relaxed
data_LiNi9S10
_chemical_formula_sum 'Li1 Ni9 S10'
_space_group_name_H-M_alt 'P -1'
_space_group_IT_number 2
_space_group_name_Hall '-P 1'
_cell_length_a 5.966
_cell_length_b 6.249
_cell_length_c 7.927
_cell_angle_alpha 101.13
_cell_angle_beta 111.82
_cell_angle_gamma 90.06
loop_
_atom_site_label
_atom_site_type_symbol
_atom_site_fract_x
_atom_site_fract_y
_atom_site_fract_z
Li1 Li 0.000 0.000 0.000
Ni1 Ni 0.097 0.707 0.198
Ni2 Ni 0.195 0.396 0.393
Ni3 Ni 0.303 0.103 0.600
Ni4 Ni 0.401 0.805 0.806
Ni5 Ni 0.500 0.500 0.000
S1 S 0.081 0.750 0.501
S2 S 0.124 0.634 0.903
S3 S 0.292 0.154 0.892
S4 S 0.320 0.046 0.306
S5 S 0.479 0.543 0.304
# ρ in g/cm³: 5.296
# Offset from the most stable computed form in kcal/mol of atoms: 0.13

***

Entry 2:
# PBE-GGA LiSi6Ni6, relaxed
data_LiSi6Ni6
_chemical_formula_sum 'Li3 Si18 Ni18'
_space_group_name_H-M_alt 'P 6/m m m'
_space_group_IT_number 191
_space_group_name_Hall '-P 6 2'
_cell_length_a 8.4420
_cell_length_b 8.4420
_cell_length_c 7.5863
_cell_angle_alpha 90.00
_cell_angle_beta 90.00
_cell_angle_gamma 120.00
loop_
_atom_site_label
_atom_site_type_symbol
_atom_site_fract_x
_atom_site_fract_y
_atom_site_fract_z
Li1 Li 0.0000 0.0000 0.0000
Li2 Li 0.3333 0.6667 0.5000
Si1 Si 0.0000 0.0000 0.3438
Si2 Si 0.0000 0.3302 0.0000
Si3 Si 0.0000 0.3372 0.5000
Si4 Si 0.3333 0.6667 0.1566
Ni1 Ni 0.0000 0.5000 0.2446
Ni2 Ni 0.1668 0.3336 0.2523
# ρ in g/cm³: 5.613
# Total DFT energy (no corrections) in eV/atom: -5.80

***

Entry 3:
# PBE-GGA LiNp3, relaxed
data_LiNp3
_chemical_formula_sum 'Li2 Np6'
_space_group_name_H-M_alt 'I 4/m m m'
_space_group_IT_number 139
_space_group_name_Hall '-I 4 2'
_cell_length_a 4.483
_cell_length_b 4.483
_cell_length_c 6.321
_cell_angle_alpha 90.00
_cell_angle_beta 90.00
_cell_angle_gamma 90.00
loop_
_atom_site_label
_atom_site_type_symbol
_atom_site_fract_x
_atom_site_fract_y
_atom_site_fract_z
Li1 Li 0.000 0.000 0.000
Np1 Np 0.000 0.000 0.500
Np2 Np 0.000 0.500 0.250
# ρ in g/cm³: 18.768
# Total DFT energy (no corrections) in eV/atom: -9.75

***

Entry 4:
# PBE-GGA LiNpRu2, relaxed
data_LiNpRu2
_chemical_formula_sum 'Li4 Np4 Ru8'
_space_group_name_H-M_alt 'F m -3 m'
_space_group_IT_number 225
_space_group_name_Hall '-F 4 2 3'
_cell_length_a 6.318
_cell_length_b 6.318
_cell_length_c 6.318
_cell_angle_alpha 90.00
_cell_angle_beta 90.00
_cell_angle_gamma 90.00
loop_
_atom_site_label
_atom_site_type_symbol
_atom_site_fract_x
_atom_site_fract_y
_atom_site_fract_z
Li1 Li 0.000 0.000 0.000
Np1 Np 0.000 0.000 0.500
Ru1 Ru 0.250 0.250 0.250
# ρ in g/cm³: 11.747
# Total DFT energy (no corrections) in eV/atom: -8.25

***

Entry 5:
# PBE-GGA Li2O, relaxed
data_Li2O
_chemical_formula_sum 'Li8 O4'
_space_group_name_H-M_alt 'F m -3 m'
_space_group_IT_number 225
_space_group_name_Hall '-F 4 2 3'
_cell_length_a 4.659
_cell_length_b 4.659
_cell_length_c 4.659
_cell_angle_alpha 90.00
_cell_angle_beta 90.00
_cell_angle_gamma 90.00
loop_
_atom_site_label
_atom_site_type_symbol
_atom_site_fract_x
_atom_site_fract_y
_atom_site_fract_z
Li1 Li 0.250 0.250 0.250
O1 O 0.000 0.000 0.000
# ρ in g/cm³: 1.963
# Offset from the most stable computed form in kcal/mol of atoms: 0.00

***

Entry 6:
# PBE-GGA Li2O, relaxed
data_Li2O
_chemical_formula_sum 'Li8 O4'
_space_group_name_H-M_alt 'P n m a'
_space_group_IT_number 62
_space_group_name_Hall '-P 2ac 2n'
_cell_length_a 5.152
_cell_length_b 3.140
_cell_length_c 5.933
_cell_angle_alpha 90.00
_cell_angle_beta 90.00
_cell_angle_gamma 90.00
loop_
_atom_site_label
_atom_site_type_symbol
_atom_site_fract_x
_atom_site_fract_y
_atom_site_fract_z
Li1 Li 0.012 0.250 0.159
Li2 Li 0.141 0.250 0.579
O1 O 0.246 0.750 0.399
# ρ in g/cm³: 2.068
# Offset from the most stable computed form in kcal/mol of atoms: 1.96